Entry 1:
Na3Mg4Ta8P15S3O72 after structural relaxation, computed with PBE-GGA.

Unit cell a=8.724 b=8.729 c=22.658 alpha=90.05 beta=90.00 gamma=119.88
Space group P1 (No. 1)
Symmetry-distinct sites (fractional):
Na1 0.000 0.000 0.000
Na2 0.002 0.999 0.498
Na3 0.339 0.662 0.346
Mg1 0.002 0.000 0.359
Mg2 0.002 0.000 0.856
Mg3 0.340 0.662 0.484
Mg4 0.672 0.326 0.029
Ta1 0.000 0.995 0.151
Ta2 0.002 0.996 0.651
Ta3 0.330 0.657 0.982
Ta4 0.334 0.659 0.693
Ta5 0.336 0.661 0.192
Ta6 0.661 0.322 0.315
Ta7 0.662 0.321 0.528
Ta8 0.676 0.330 0.814
P1 0.002 0.282 0.257
P2 0.005 0.713 0.757
P3 0.044 0.660 0.088
P4 0.050 0.377 0.586
P5 0.283 0.992 0.257
P6 0.288 0.281 0.757
P7 0.331 0.943 0.586
P8 0.338 0.373 0.087
P9 0.374 0.328 0.422
P10 0.621 0.951 0.087
P11 0.622 0.663 0.586
P12 0.668 0.034 0.422
P13 0.714 0.991 0.757
P14 0.717 0.710 0.257
P15 0.951 0.319 0.924
S1 0.379 0.043 0.923
S2 0.673 0.618 0.923
S3 0.957 0.617 0.422
O1 0.021 0.187 0.599
O2 0.037 0.821 0.811
O3 0.037 0.835 0.096
O4 0.042 0.209 0.310
O5 0.128 0.627 0.426
O6 0.135 0.488 0.643
O7 0.138 0.496 0.931
O8 0.142 0.642 0.142
O9 0.161 0.681 0.743
O10 0.162 0.450 0.532
O11 0.163 0.191 0.096
O12 0.163 0.471 0.244
O13 0.171 0.698 0.033
O14 0.172 0.975 0.599
O15 0.173 0.955 0.311
O16 0.177 0.206 0.811
O17 0.200 0.013 0.915
O18 0.200 0.022 0.200
O19 0.202 0.156 0.418
O20 0.204 0.166 0.701
O21 0.294 0.834 0.532
O22 0.300 0.462 0.033
O23 0.315 0.833 0.244
O24 0.316 0.468 0.742
O25 0.355 0.487 0.142
O26 0.361 0.861 0.643
O27 0.367 0.497 0.425
O28 0.368 0.863 0.930
O29 0.460 0.150 0.975
O30 0.472 0.157 0.263
O31 0.477 0.305 0.766
O32 0.479 0.310 0.477
O33 0.491 0.124 0.868
O34 0.496 0.132 0.580
O35 0.496 0.354 0.079
O36 0.496 0.862 0.425
O37 0.498 0.350 0.366
O38 0.505 0.632 0.929
O39 0.508 0.634 0.643
O40 0.508 0.853 0.142
O41 0.527 0.681 0.244
O42 0.527 0.835 0.742
O43 0.534 0.825 0.033
O44 0.550 0.703 0.533
O45 0.638 0.504 0.868
O46 0.639 0.127 0.081
O47 0.647 0.499 0.579
O48 0.650 0.139 0.367
O49 0.690 0.157 0.765
O50 0.690 0.158 0.477
O51 0.693 0.533 0.975
O52 0.694 0.523 0.264
O53 0.788 0.956 0.811
O54 0.791 0.823 0.311
O55 0.805 0.960 0.096
O56 0.811 0.824 0.600
O57 0.824 0.795 0.915
O58 0.830 0.796 0.200
O59 0.831 0.026 0.701
O60 0.836 0.027 0.418
O61 0.838 0.524 0.764
O62 0.839 0.306 0.264
O63 0.841 0.301 0.977
O64 0.844 0.527 0.475
O65 0.862 0.353 0.579
O66 0.864 0.354 0.867
O67 0.867 0.503 0.080
O68 0.867 0.504 0.368
O69 0.967 0.788 0.417
O70 0.971 0.795 0.701
O71 0.973 0.167 0.200
O72 0.983 0.166 0.915

Results
calculated formation energy	-2.8641	eV/atom
M_tot	0.0	μB per formula unit



Entry 2:
Na6Mg3TiP4S2O24 after structural relaxation, computed with PBE-GGA.

Unit cell a=8.897 b=8.905 c=22.009 alpha=89.76 beta=89.83 gamma=60.05
Space group P1 (No. 1)
Symmetry-distinct sites (fractional):
Na1 0.000 0.000 0.000
Na2 0.003 0.638 0.757
Na3 0.017 0.953 0.335
Na4 0.304 0.323 0.335
Na5 0.326 0.610 0.167
Na6 0.333 0.966 0.419
Na7 0.334 0.342 0.667
Na8 0.339 0.959 0.919
Na9 0.358 0.285 0.003
Na10 0.633 0.012 0.497
Na11 0.660 0.318 0.083
Na12 0.671 0.319 0.579
Na13 0.674 0.944 0.837
Na14 0.699 0.988 0.166
Na15 0.703 0.612 0.669
Na16 0.956 0.988 0.667
Na17 0.967 0.342 0.169
Na18 0.991 0.649 0.254
Mg1 0.004 0.653 0.097
Mg2 0.324 0.986 0.565
Mg3 0.337 0.975 0.064
Mg4 0.663 0.323 0.429
Mg5 0.664 0.313 0.236
Mg6 0.666 0.313 0.734
Mg7 0.992 0.646 0.397
Mg8 0.994 0.644 0.599
Mg9 0.999 0.651 0.898
Ti1 0.324 0.986 0.271
Ti2 0.325 0.993 0.773
Ti3 0.657 0.321 0.930
P1 0.037 0.984 0.165
P2 0.039 0.271 0.666
P3 0.296 0.646 0.999
P4 0.330 0.274 0.165
P5 0.366 0.321 0.830
P6 0.370 0.611 0.331
P7 0.621 0.982 0.665
P8 0.662 0.017 0.332
P9 0.662 0.609 0.829
P10 0.700 0.946 0.997
P11 0.956 0.318 0.330
P12 0.959 0.022 0.831
S1 0.294 0.353 0.500
S2 0.330 0.692 0.666
S3 0.621 0.690 0.166
S4 0.701 0.646 0.501
S5 0.991 0.357 0.000
S6 0.998 0.943 0.500
O1 0.015 0.840 0.445
O2 0.016 0.443 0.947
O3 0.021 0.818 0.164
O4 0.030 0.449 0.663
O5 0.122 0.007 0.108
O6 0.122 0.154 0.611
O7 0.143 0.007 0.826
O8 0.147 0.146 0.324
O9 0.147 0.179 0.004
O10 0.154 0.962 0.504
O11 0.155 0.961 0.222
O12 0.161 0.173 0.723
O13 0.161 0.452 0.164
O14 0.172 0.674 0.661
O15 0.176 0.673 0.946
O16 0.183 0.640 0.338
O17 0.186 0.470 0.840
O18 0.191 0.439 0.445
O19 0.210 0.453 0.556
O20 0.231 0.601 0.058
O21 0.303 0.802 0.721
O22 0.311 0.175 0.222
O23 0.313 0.809 0.005
O24 0.316 0.174 0.503
O25 0.344 0.801 0.323
O26 0.358 0.163 0.108
O27 0.358 0.771 0.611
O28 0.363 0.142 0.827
O29 0.445 0.504 0.273
O30 0.450 0.339 0.772
O31 0.472 0.330 0.496
O32 0.482 0.478 0.988
O33 0.483 0.530 0.386
O34 0.485 0.516 0.672
O35 0.490 0.297 0.171
O36 0.491 0.286 0.886
O37 0.493 0.794 0.827
O38 0.494 0.000 0.323
O39 0.512 0.007 0.609
O40 0.512 0.982 0.003
O41 0.515 0.769 0.112
O42 0.526 0.807 0.505
O43 0.527 0.958 0.723
O44 0.537 0.800 0.221
O45 0.620 0.133 0.389
O46 0.638 0.509 0.884
O47 0.640 0.145 0.671
O48 0.642 0.514 0.172
O49 0.682 0.491 0.495
O50 0.683 0.509 0.771
O51 0.684 0.134 0.990
O52 0.692 0.099 0.276
O53 0.785 0.839 0.941
O54 0.790 0.673 0.449
O55 0.797 0.672 0.161
O56 0.799 0.626 0.558
O57 0.804 0.817 0.663
O58 0.811 0.870 0.055
O59 0.815 0.638 0.839
O60 0.823 0.837 0.340
O61 0.836 0.117 0.496
O62 0.836 0.333 0.993
O63 0.850 0.103 0.774
O64 0.855 0.147 0.171
O65 0.855 0.298 0.673
O66 0.857 0.341 0.271
O67 0.867 0.140 0.888
O68 0.879 0.272 0.385
O69 0.968 0.455 0.057
O70 0.975 0.859 0.555
O71 0.977 0.843 0.839
O72 0.995 0.465 0.339

Results
calculated formation energy	-2.6739	eV/atom
M_tot	0.0	μB per formula unit



Entry 3:
Na7Mg3TiP5SO24 after structural relaxation, computed with PBE-GGA.

Unit cell a=8.932 b=8.949 c=21.952 alpha=89.75 beta=89.80 gamma=60.11
Space group P1 (No. 1)
Symmetry-distinct sites (fractional):
Na1 0.000 0.000 0.000
Na2 0.001 0.374 0.497
Na3 0.038 0.046 0.666
Na4 0.039 0.682 0.410
Na5 0.049 0.675 0.912
Na6 0.064 0.343 0.829
Na7 0.337 0.344 0.326
Na8 0.350 0.015 0.243
Na9 0.362 0.004 0.750
Na10 0.374 0.633 0.494
Na11 0.377 0.373 0.001
Na12 0.394 0.676 0.165
Na13 0.396 0.306 0.667
Na14 0.674 0.027 0.164
Na15 0.681 0.662 0.665
Na16 0.709 0.337 0.083
Na17 0.711 0.339 0.578
Na18 0.711 0.978 0.833
Na19 0.713 0.698 0.326
Na20 0.736 0.641 0.002
Na21 0.738 0.007 0.493
Mg1 0.037 0.665 0.560
Mg2 0.037 0.675 0.070
Mg3 0.040 0.674 0.264
Mg4 0.046 0.664 0.769
Mg5 0.367 0.010 0.596
Mg6 0.372 0.005 0.102
Mg7 0.700 0.338 0.929
Mg8 0.705 0.336 0.431
Mg9 0.708 0.339 0.738
Ti1 0.367 0.003 0.395
Ti2 0.380 0.989 0.894
Ti3 0.714 0.335 0.229
P1 0.004 0.040 0.833
P2 0.037 0.375 0.665
P3 0.037 0.968 0.165
P4 0.078 0.005 0.500
P5 0.336 0.374 0.167
P6 0.374 0.296 0.499
P7 0.374 0.710 0.000
P8 0.408 0.336 0.833
P9 0.411 0.631 0.333
P10 0.661 0.713 0.499
P11 0.663 0.005 0.999
P12 0.704 0.633 0.832
P13 0.706 0.043 0.334
P14 0.745 0.667 0.166
P15 0.998 0.335 0.334
S1 0.081 0.294 0.998
S2 0.331 0.671 0.664
S3 0.745 0.965 0.665
O1 0.011 0.485 0.607
O2 0.021 0.861 0.825
O3 0.023 0.492 0.325
O4 0.063 0.461 0.722
O5 0.065 0.838 0.501
O6 0.066 0.468 0.001
O7 0.066 0.850 0.218
O8 0.156 0.032 0.558
O9 0.164 0.186 0.050
O10 0.183 0.169 0.338
O11 0.186 0.213 0.941
O12 0.187 0.026 0.841
O13 0.196 0.990 0.158
O14 0.202 0.191 0.661
O15 0.203 0.981 0.445
O16 0.208 0.475 0.500
O17 0.208 0.696 0.000
O18 0.220 0.698 0.717
O19 0.223 0.488 0.827
O20 0.230 0.459 0.223
O21 0.233 0.650 0.326
O22 0.253 0.649 0.608
O23 0.261 0.487 0.108
O24 0.349 0.199 0.442
O25 0.352 0.833 0.943
O26 0.356 0.824 0.660
O27 0.369 0.189 0.161
O28 0.389 0.167 0.839
O29 0.397 0.795 0.056
O30 0.401 0.814 0.339
O31 0.403 0.188 0.556
O32 0.493 0.356 0.890
O33 0.493 0.524 0.391
O34 0.505 0.512 0.670
O35 0.521 0.299 0.775
O36 0.523 0.358 0.174
O37 0.532 0.032 0.338
O38 0.532 0.544 0.277
O39 0.534 0.317 0.492
O40 0.536 0.531 0.992
O41 0.539 0.821 0.839
O42 0.552 0.033 0.055
O43 0.553 0.795 0.557
O44 0.560 0.825 0.161
O45 0.565 0.832 0.443
O46 0.565 0.986 0.941
O47 0.570 0.980 0.661
O48 0.672 0.560 0.774
O49 0.674 0.164 0.277
O50 0.683 0.532 0.493
O51 0.686 0.165 0.992
O52 0.721 0.503 0.174
O53 0.722 0.142 0.669
O54 0.726 0.125 0.391
O55 0.734 0.521 0.888
O56 0.828 0.860 0.720
O57 0.829 0.695 0.222
O58 0.840 0.702 0.500
O59 0.841 0.837 0.999
O60 0.850 0.638 0.107
O61 0.851 0.885 0.610
O62 0.856 0.859 0.326
O63 0.860 0.664 0.826
O64 0.868 0.152 0.175
O65 0.873 0.354 0.670
O66 0.891 0.365 0.391
O67 0.892 0.124 0.889
O68 0.898 0.165 0.492
O69 0.901 0.312 0.279
O70 0.905 0.315 0.992
O71 0.929 0.153 0.775
O72 0.993 0.902 0.106

Results
calculated formation energy	-2.7452	eV/atom
M_tot	0.0	μB per formula unit